The following is a GGA+U calculation of a geometry-optimized Co3B7ClO13 structure, from the Materials Project database.

The structure in POSCAR format:
```
Co3B7ClO13
1.0
7.501 -4.312 0.000
7.501 4.312 0.000
5.022 0.000 7.046
Co B Cl O
6 14 2 26
Cartesian
17.238 0.009 3.735 Co
16.146 -1.909 6.838 Co
16.141 1.899 6.853 Co
6.134 1.909 3.315 Co
6.129 -1.899 3.330 Co
7.226 -0.009 0.212 Co
9.898 -0.002 1.863 B
12.023 0.000 4.231 B
2.011 0.000 0.708 B
9.138 1.324 4.024 B
9.137 -1.322 4.026 B
6.627 2.988 0.501 B
4.908 0.002 5.386 B
6.626 -2.990 0.504 B
8.708 -2.185 1.730 B
7.454 0.003 5.295 B
8.709 2.182 1.726 B
11.219 -2.128 5.253 B
11.220 2.130 5.248 B
12.444 -0.003 1.772 B
15.377 0.000 5.410 Cl
5.365 0.000 1.888 Cl
10.198 -2.306 4.215 O
8.764 0.764 1.315 O
7.319 2.647 1.739 O
7.687 -2.006 0.693 O
6.166 -0.641 5.018 O
7.714 1.063 4.299 O
9.830 1.665 5.262 O
11.156 0.641 1.495 O
19.738 0.000 6.945 O
9.725 0.000 3.422 O
8.153 -1.826 3.052 O
9.175 -3.618 1.850 O
7.488 0.683 6.645 O
12.079 1.377 4.257 O
12.478 -0.683 3.123 O
11.687 -0.694 5.373 O
12.391 -2.941 4.919 O
11.808 1.927 6.575 O
13.499 1.014 1.770 O
9.880 -1.371 1.396 O
8.509 -1.014 5.293 O
9.297 2.385 3.052 O
10.664 -2.486 6.575 O
11.275 3.549 4.838 O
12.704 -1.063 0.777 O
9.568 2.935 0.734 O
```

Computed properties:
- energy (eV/atom) = -7.411
- E_form (meV/atom) = -2394
- total moment (μB/f.u.) = 9.000
- symmetry = R3c
- volume (Å³/cell) = 455.8

The following is a GGA+U calculation of a geometry-optimized Cr3B7ClO13 structure, from the Materials Project database.

The structure in POSCAR format:
```
Cr3B7ClO13
1.0
-1.942 8.170 2.141
-8.227 -2.348 1.500
2.817 -2.397 11.703
Cr B Cl O
12 28 4 52
Cartesian
-6.358 -0.675 14.234 Cr
-0.549 6.953 7.971 Cr
-2.785 4.934 4.971 Cr
-5.403 -4.718 13.185 Cr
0.402 2.913 6.906 Cr
-3.222 4.589 14.567 Cr
-3.699 1.684 7.642 Cr
-2.729 -2.354 6.590 Cr
-4.535 -1.535 10.503 Cr
-1.394 3.731 10.826 Cr
-2.257 0.554 13.499 Cr
-5.926 -0.332 4.649 Cr
-4.382 2.315 4.720 B
-6.219 3.170 8.561 B
-0.354 -1.459 8.390 B
0.160 6.370 10.899 B
-6.836 2.639 4.342 B
-1.136 0.265 6.743 B
-5.346 6.400 5.795 B
-8.497 1.147 5.472 B
-6.061 4.074 10.897 B
-5.434 1.439 10.194 B
0.267 -0.935 12.595 B
-5.385 3.952 6.333 B
1.134 2.289 9.823 B
-7.520 -2.937 4.406 B
-4.816 1.970 14.414 B
-1.524 -0.903 10.845 B
1.086 -0.161 10.357 B
-4.000 2.756 12.179 B
-7.457 5.276 5.044 B
-0.302 1.047 4.514 B
-8.001 3.214 6.800 B
-2.383 2.382 3.217 B
-2.981 1.120 10.574 B
-1.750 -0.257 2.536 B
-0.980 1.182 9.070 B
-2.915 0.298 4.979 B
-6.607 2.003 12.664 B
-2.014 -2.966 9.510 B
-3.905 -2.106 13.275 Cl
-2.084 4.373 7.728 Cl
-0.761 3.150 13.595 Cl
-5.228 -0.884 7.408 Cl
0.992 -1.380 7.879 O
-2.484 -1.718 10.142 O
-6.714 0.785 10.171 O
-6.871 3.769 9.743 O
-5.605 4.225 7.734 O
1.781 -1.410 10.144 O
-1.188 3.110 2.881 O
-8.892 5.272 5.185 O
-2.411 1.160 9.212 O
-2.601 5.427 11.109 O
-3.129 2.973 4.295 O
-3.925 4.120 12.651 O
-4.703 2.701 6.108 O
-0.229 0.089 5.592 O
-2.428 0.777 6.252 O
-4.204 0.854 4.637 O
-6.513 -1.406 11.166 O
-0.435 -0.344 9.673 O
-3.045 2.485 11.128 O
-4.873 4.818 10.561 O
0.870 0.118 11.759 O
-5.521 2.575 11.495 O
-7.579 -1.572 4.963 O
-4.874 -1.896 3.720 O
-6.115 2.479 13.935 O
-6.923 3.775 5.642 O
-0.736 4.745 4.599 O
-0.337 2.169 9.894 O
-3.027 -0.926 2.504 O
-2.897 -1.144 4.889 O
-2.602 7.027 5.001 O
-7.139 1.363 4.930 O
-7.219 2.454 7.749 O
-5.179 2.226 9.018 O
0.334 4.907 10.821 O
-1.339 -1.027 7.429 O
-7.036 5.322 3.665 O
-4.347 0.559 10.530 O
-0.242 2.412 4.975 O
-1.503 0.527 1.351 O
-7.827 3.071 3.392 O
-0.740 -1.657 11.793 O
-0.549 1.225 7.698 O
-3.921 1.795 13.255 O
-6.582 0.564 12.559 O
-3.196 2.070 2.073 O
-5.492 2.734 3.840 O
-4.873 -3.497 9.828 O
-8.604 4.385 7.396 O
-1.837 0.857 3.820 O
-2.121 0.276 11.425 O
-4.761 5.054 5.642 O
```

Computed properties:
- distance to the lowest polymorph of the same formula (meV per atom) = 0
- energy (eV/atom) = -7.902
- E_form (meV/atom) = -2612
- total moment (μB/f.u.) = 4.000
- symmetry = Pca2_1
- volume (Å³/cell) = 923.9

The following is a GGA+U calculation of a geometry-optimized Cr3B7ClO13 structure, from the Materials Project database.

The structure in POSCAR format:
```
Cr3B7ClO13
1.0
12.299 0.000 0.000
0.000 12.299 0.000
0.000 0.000 12.320
Cr B Cl O
24 56 8 104
Cartesian
9.305 12.271 3.149 Cr
6.149 0.000 12.006 Cr
2.999 0.054 9.321 Cr
12.271 2.994 9.171 Cr
3.155 6.178 3.011 Cr
6.178 9.143 9.309 Cr
6.121 3.155 9.309 Cr
0.000 6.149 6.474 Cr
9.300 12.245 9.321 Cr
0.000 0.000 6.160 Cr
9.148 6.095 9.159 Cr
0.028 9.305 9.171 Cr
0.054 9.300 2.999 Cr
6.095 3.151 3.161 Cr
9.143 6.121 3.011 Cr
3.151 6.204 9.159 Cr
12.245 2.999 2.999 Cr
0.000 0.000 0.000 Cr
6.149 6.149 6.160 Cr
2.994 0.028 3.149 Cr
0.000 6.149 0.314 Cr
6.149 0.000 5.846 Cr
6.204 9.148 3.161 Cr
6.149 6.149 0.000 Cr
9.199 3.054 3.064 B
8.013 1.854 7.365 B
2.110 10.143 11.347 B
9.249 9.203 3.096 B
2.139 8.272 0.901 B
2.148 2.112 7.133 B
9.203 3.050 9.224 B
12.293 9.200 12.313 B
2.156 2.110 0.973 B
10.159 4.027 0.901 B
3.100 9.245 3.064 B
1.864 4.296 11.115 B
4.286 10.445 7.365 B
8.306 4.039 5.187 B
3.050 3.096 3.096 B
6.141 9.203 0.049 B
3.096 6.141 12.271 B
3.054 3.100 9.256 B
3.993 8.259 5.187 B
4.038 4.001 0.973 B
10.176 4.010 7.061 B
10.445 8.013 4.955 B
9.200 0.006 0.007 B
0.009 3.053 6.111 B
1.854 4.286 4.955 B
8.259 8.306 7.133 B
4.010 2.123 5.259 B
3.099 12.293 0.007 B
10.435 8.003 11.115 B
0.006 3.099 12.313 B
9.203 6.158 12.271 B
3.096 9.249 9.224 B
9.249 6.155 6.153 B
10.187 2.148 5.187 B
9.245 9.199 9.256 B
8.298 4.038 11.347 B
8.261 8.298 0.973 B
6.155 3.050 6.167 B
10.189 2.156 11.347 B
2.123 8.289 7.061 B
12.290 9.246 6.111 B
8.289 10.176 5.259 B
3.050 6.143 6.153 B
6.143 9.249 6.167 B
8.272 10.159 11.419 B
4.027 2.139 11.419 B
6.158 3.096 0.049 B
8.003 1.864 1.205 B
10.143 10.189 0.973 B
3.053 12.290 6.209 B
2.112 10.150 5.187 B
4.001 8.261 11.347 B
10.150 10.187 7.133 B
9.246 0.009 6.209 B
4.039 3.993 7.133 B
4.296 10.435 1.205 B
0.000 6.149 9.163 Cl
0.000 6.149 3.003 Cl
6.149 0.000 9.317 Cl
0.000 0.000 9.266 Cl
6.149 6.149 3.106 Cl
6.149 6.149 9.214 Cl
6.149 0.000 3.157 Cl
0.000 0.000 3.054 Cl
9.511 11.477 7.393 O
10.416 5.317 6.448 O
11.398 9.457 1.129 O
2.788 0.822 7.393 O
8.006 0.825 6.445 O
10.399 2.786 10.038 O
3.362 6.971 11.087 O
5.249 8.991 5.031 O
1.857 5.324 12.035 O
9.118 9.329 0.125 O
11.474 8.006 5.875 O
3.316 4.249 2.215 O
5.301 4.221 6.428 O
8.991 7.050 7.289 O
9.330 3.180 6.035 O
9.003 11.434 5.041 O
1.882 6.981 6.448 O
4.250 3.363 8.442 O
10.398 9.465 8.375 O
0.906 1.916 6.380 O
2.833 10.398 3.945 O
8.119 9.429 4.007 O
10.329 3.280 2.152 O
3.296 0.865 5.041 O
8.049 8.936 8.442 O
9.119 9.330 6.285 O
10.370 11.450 0.268 O
9.512 10.399 2.282 O
9.445 5.284 1.119 O
7.963 2.765 2.261 O
4.249 8.983 10.105 O
8.065 7.055 0.220 O
8.078 5.301 5.892 O
2.841 11.398 11.191 O
5.317 1.882 5.872 O
2.970 9.118 12.195 O
2.765 4.335 10.058 O
9.329 3.181 12.195 O
8.050 3.316 10.105 O
6.965 2.769 7.404 O
1.916 11.393 5.940 O
9.457 0.901 11.191 O
4.267 0.832 12.032 O
3.181 2.970 0.125 O
11.393 10.383 6.380 O
10.442 6.975 12.035 O
11.477 2.788 4.927 O
1.970 9.019 2.152 O
0.825 4.293 5.875 O
5.328 3.362 1.233 O
4.221 6.998 5.892 O
2.870 8.119 8.312 O
11.467 4.267 0.288 O
9.019 10.329 10.167 O
7.055 4.233 12.100 O
6.998 8.078 6.428 O
0.832 8.032 0.288 O
4.335 9.534 2.261 O
8.918 0.816 1.244 O
1.814 3.385 3.898 O
9.429 4.180 8.312 O
8.983 8.050 2.215 O
3.380 11.483 1.244 O
11.434 3.296 7.278 O
2.969 9.119 6.035 O
1.900 9.512 10.038 O
6.971 8.937 1.233 O
2.786 1.900 2.282 O
4.233 5.243 0.220 O
10.485 8.914 3.898 O
3.363 8.049 3.878 O
8.032 11.467 12.032 O
2.853 7.015 1.119 O
3.385 10.485 8.421 O
8.914 1.814 8.421 O
0.865 9.003 7.278 O
7.050 3.308 5.031 O
5.334 9.530 7.404 O
1.929 0.848 0.268 O
3.280 1.970 10.167 O
11.483 8.918 11.076 O
5.324 10.442 0.285 O
4.180 2.870 4.007 O
1.901 2.833 8.375 O
6.975 1.857 0.285 O
0.816 3.380 11.076 O
9.534 7.963 10.058 O
0.822 9.511 4.927 O
7.015 9.445 11.201 O
2.769 5.334 4.916 O
6.981 10.416 5.872 O
3.180 2.969 6.285 O
8.936 4.250 3.878 O
11.450 1.929 12.052 O
5.243 8.065 12.100 O
3.308 5.249 7.289 O
8.937 5.328 11.087 O
4.293 11.474 6.445 O
9.465 1.901 3.945 O
10.383 0.906 5.940 O
9.530 6.965 4.916 O
0.848 10.370 12.052 O
0.901 2.841 1.129 O
5.284 2.853 11.201 O
```

Computed properties:
- distance to the lowest polymorph of the same formula (meV per atom) = 5
- energy (eV/atom) = -7.897
- E_form (meV/atom) = -2607
- total moment (μB/f.u.) = 12.000
- symmetry = P-42_1c
- volume (Å³/cell) = 1863.5

The following is a GGA+U calculation of a geometry-optimized Cr3B7ClO13 structure, from the Materials Project database.

The structure in POSCAR format:
```
Cr3B7ClO13
1.0
0.000 6.135 6.135
6.135 0.000 6.135
6.135 6.135 0.000
Cr B Cl O
6 14 2 26
Cartesian
3.068 6.135 3.068 Cr
3.068 3.068 6.135 Cr
3.068 3.068 0.000 Cr
0.000 3.068 3.068 Cr
3.068 0.000 3.068 Cr
6.135 3.068 3.068 Cr
11.289 11.289 11.289 B
6.135 6.135 9.203 B
7.116 7.116 11.289 B
6.135 9.203 6.135 B
7.116 7.116 5.154 B
7.116 5.154 7.116 B
5.154 7.116 7.116 B
6.135 6.135 3.068 B
11.289 7.116 7.116 B
9.203 6.135 6.135 B
3.068 6.135 6.135 B
5.154 5.154 5.154 B
7.116 11.289 7.116 B
6.135 3.068 6.135 B
9.203 9.203 9.203 Cl
3.068 3.068 3.068 Cl
5.888 4.961 3.927 O
5.888 2.208 7.309 O
7.309 8.343 5.888 O
6.135 6.135 6.135 O
5.888 7.309 8.343 O
10.062 4.961 5.888 O
2.208 4.961 6.383 O
7.309 5.888 2.208 O
0.000 0.000 0.000 O
7.309 3.927 6.383 O
3.927 6.383 7.309 O
7.309 6.383 10.062 O
4.961 5.888 10.062 O
3.927 5.888 4.961 O
2.208 7.309 5.888 O
4.961 6.383 2.208 O
6.383 7.309 3.927 O
6.383 4.961 8.343 O
4.961 8.343 6.383 O
4.961 3.927 5.888 O
6.383 2.208 4.961 O
5.888 10.062 4.961 O
6.383 10.062 7.309 O
10.062 7.309 6.383 O
8.343 5.888 7.309 O
8.343 6.383 4.961 O
```

Computed properties:
- distance to the lowest polymorph of the same formula (meV per atom) = 0
- energy (eV/atom) = -7.901
- E_form (meV/atom) = -2611
- total moment (μB/f.u.) = 11.999
- symmetry = F-43c
- volume (Å³/cell) = 461.8